1.
## NdP2H3O6 (PBE)

Data for crystalline NdP2H3O6 at its relaxed geometry. Values from VASP.

Computed properties:
Formation energy from the elements   -2.35 eV/atom
SG   P2_1/c (14)

```
&SYSTEM
  ibrav = 0, nat = 48, ntyp = 4
/
ATOMIC_SPECIES
Nd 144.24 Nd.upf
P 30.97 P.upf
H 1.01 H.upf
O 16.00 O.upf
ATOMIC_POSITIONS angstrom
Nd 2.090 0.306 0.004
Nd 0.239 4.386 4.093
Nd 4.499 4.998 4.084
Nd 2.649 9.078 8.172
P -0.691 1.054 2.514
P -2.542 3.638 6.602
P 3.483 6.805 0.811
P 1.633 7.271 4.899
P 3.106 2.113 3.278
P 1.255 2.579 7.366
P 7.281 5.745 1.574
P 5.430 8.330 5.662
H -0.348 0.160 3.545
H -2.198 4.532 7.633
H 1.240 6.504 1.251
H -0.611 7.572 5.339
H -0.016 5.999 7.851
H 1.834 8.077 3.763
H 2.904 1.307 4.414
H 4.755 3.385 0.325
H 5.350 1.812 2.838
H 3.499 2.880 6.926
H 6.937 4.852 0.543
H 5.086 9.224 4.631
O -0.022 0.543 1.218
O -1.873 4.149 5.306
O -2.147 2.250 7.060
O -0.296 2.442 2.972
O 0.370 5.590 1.845
O -1.481 8.486 5.933
O 0.089 6.876 4.905
O 1.940 7.200 0.817
O 2.695 1.323 2.063
O 0.845 3.369 6.151
O 0.610 1.218 7.633
O 2.460 3.474 3.545
O 2.278 5.910 4.631
O 4.129 8.166 0.543
O 3.894 6.015 2.026
O 2.043 8.061 6.114
O 2.799 2.184 7.359
O 4.649 2.508 3.271
O 6.220 0.898 2.243
O 4.369 3.794 6.331
O 5.035 6.942 5.205
O 6.886 7.134 1.117
O 6.611 5.235 2.870
O 4.761 8.841 6.958
CELL_PARAMETERS angstrom
8.440 0.000 0.000
0.000 9.384 0.000
-3.701 0.000 8.176
```

2.
## LiZr2Ir (PBE)

Data for crystalline LiZr2Ir at its relaxed geometry. Values from VASP.

Computed properties:
Formation energy from the elements   -0.47 eV/atom
SG   Fm-3m (225)

```
&SYSTEM
  ibrav = 0, nat = 4, ntyp = 3
/
ATOMIC_SPECIES
Li 6.94 Li.upf
Zr 91.22 Zr.upf
Ir 192.22 Ir.upf
ATOMIC_POSITIONS angstrom
Li 0.000 0.000 0.000
Zr 1.654 1.654 1.654
Zr 4.963 4.963 4.963
Ir 3.309 3.309 3.309
CELL_PARAMETERS angstrom
0.000 3.309 3.309
3.309 0.000 3.309
3.309 3.309 0.000
```

3.
## PRu (PBE)

Data for crystalline PRu at its relaxed geometry. Values from VASP.

Computed properties:
Formation energy from the elements   -0.56 eV/atom
SG   Pnma (62)

```
&SYSTEM
  ibrav = 0, nat = 8, ntyp = 2
/
ATOMIC_SPECIES
P 30.97 P.upf
Ru 101.07 Ru.upf
ATOMIC_POSITIONS angstrom
P 1.056 0.795 0.401
P 1.722 2.384 3.499
P 3.835 0.795 2.697
P 4.501 2.384 5.795
Ru 0.053 2.384 1.816
Ru 2.726 0.795 4.913
Ru 2.831 2.384 1.282
Ru 5.505 0.795 4.380
CELL_PARAMETERS angstrom
5.557 0.000 0.000
0.000 3.179 0.000
0.000 0.000 6.196
```

4.
## Tm3GaC (PBE)

Data for crystalline Tm3GaC at its relaxed geometry. Values from VASP.

Computed properties:
Formation energy from the elements   1.19 eV/atom
Spin magnetization   0.0 Bohr magnetons per cell
SG   Pm-3m (221)

```
&SYSTEM
  ibrav = 0, nat = 5, ntyp = 3
/
ATOMIC_SPECIES
Tm 168.93 Tm.upf
Ga 69.72 Ga.upf
C 12.01 C.upf
ATOMIC_POSITIONS angstrom
Tm 0.000 0.000 2.613
Tm 0.000 2.613 0.000
Tm 2.613 0.000 0.000
Ga 0.000 0.000 0.000
C 2.613 2.613 2.613
CELL_PARAMETERS angstrom
5.225 0.000 0.000
0.000 5.225 0.000
0.000 0.000 5.225
```

5.
## BPPbO5 (PBE)

Data for crystalline BPPbO5 at its relaxed geometry. Values from VASP.

Computed properties:
Formation energy from the elements   -2.55 eV/atom
Spin magnetization   0.0 Bohr magnetons per cell
SG   P3_121 (152)
Maximum piezoelectric response   0.5 C/m²

```
&SYSTEM
  ibrav = 0, nat = 24, ntyp = 4
/
ATOMIC_SPECIES
B 10.81 B.upf
P 30.97 P.upf
Pb 207.20 Pb.upf
O 16.00 O.upf
ATOMIC_POSITIONS angstrom
B -3.163 5.478 1.156
B 0.344 0.596 3.469
B 6.326 0.000 5.782
P -1.403 2.430 4.626
P 2.806 0.000 2.313
P 2.104 3.645 0.000
Pb -1.366 2.366 1.156
Pb 2.732 0.000 5.782
Pb 2.141 3.709 3.469
O -3.358 5.816 4.626
O 0.149 0.259 0.000
O -1.065 3.533 5.612
O -0.140 2.014 3.733
O -1.693 5.189 1.420
O 1.814 0.885 3.206
O 0.980 3.386 0.987
O 0.085 5.230 3.299
O 2.442 2.542 5.952
O 3.592 0.844 1.326
O 1.833 4.946 6.046
O 3.367 4.061 0.893
O 5.340 1.128 5.519
O 4.487 2.688 3.639
O 6.716 0.000 2.313
CELL_PARAMETERS angstrom
7.014 0.000 0.000
-3.507 6.075 0.000
0.000 0.000 6.939
```

6.
## Na2H18SO9 (PBE)

Data for crystalline Na2H18SO9 at its relaxed geometry. Values from VASP.

Computed properties:
Formation energy from the elements   -1.27 eV/atom
SG   P4_322 (95)

```
&SYSTEM
  ibrav = 0, nat = 120, ntyp = 4
/
ATOMIC_SPECIES
Na 22.99 Na.upf
H 1.01 H.upf
S 32.06 S.upf
O 16.00 O.upf
ATOMIC_POSITIONS angstrom
Na 0.000 1.379 0.000
Na 0.000 8.008 6.426
Na 1.379 0.000 3.213
Na 2.870 4.694 9.640
Na 4.694 2.870 6.426
Na 4.694 6.518 0.000
Na 6.518 4.694 3.213
Na 8.008 0.000 9.640
H 0.206 4.425 8.459
H 0.206 4.963 10.820
H 0.359 2.605 2.805
H 0.359 6.783 3.622
H 1.057 1.920 10.112
H 1.057 7.468 9.168
H 1.194 4.246 11.846
H 1.194 5.142 7.433
H 1.719 3.573 1.134
H 1.719 5.815 5.293
H 1.735 3.239 6.763
H 1.735 6.148 12.516
H 1.920 1.057 5.954
H 1.920 8.331 0.472
H 2.004 3.322 5.218
H 2.004 6.065 1.208
H 2.605 0.359 0.409
H 2.605 9.029 6.018
H 2.618 2.742 0.144
H 2.618 6.646 6.282
H 2.742 2.618 3.069
H 2.742 6.770 3.357
H 3.239 1.735 9.303
H 3.239 7.653 9.976
H 3.322 2.004 10.848
H 3.322 7.384 8.432
H 3.573 1.719 2.079
H 3.573 7.669 4.347
H 3.837 4.672 4.341
H 3.837 4.716 2.085
H 4.246 1.194 4.220
H 4.246 8.194 2.207
H 4.425 0.206 7.607
H 4.425 9.182 11.673
H 4.672 3.837 11.725
H 4.672 5.551 7.554
H 4.716 3.837 1.128
H 4.716 5.551 5.299
H 4.963 0.206 5.246
H 4.963 9.182 1.180
H 5.142 1.194 8.633
H 5.142 8.194 10.646
H 5.551 4.672 8.512
H 5.551 4.716 10.767
H 5.815 1.719 10.774
H 5.815 7.669 8.506
H 6.065 2.004 2.005
H 6.065 7.384 4.421
H 6.148 1.735 3.550
H 6.148 7.653 2.877
H 6.646 2.618 9.784
H 6.646 6.770 9.496
H 6.770 2.742 12.709
H 6.770 6.646 6.571
H 6.783 0.359 12.444
H 6.783 9.029 6.835
H 7.384 3.322 7.634
H 7.384 6.065 11.645
H 7.468 1.057 6.898
H 7.468 8.331 12.381
H 7.653 3.239 6.090
H 7.653 6.148 0.337
H 7.669 3.573 11.719
H 7.669 5.815 7.560
H 8.194 4.246 1.006
H 8.194 5.142 5.420
H 8.331 1.920 2.741
H 8.331 7.468 3.685
H 9.029 2.605 10.048
H 9.029 6.783 9.231
H 9.182 4.425 4.393
H 9.182 4.963 2.033
S 1.777 4.694 3.213
S 4.694 1.777 0.000
S 4.694 7.610 6.426
S 7.610 4.694 9.640
O 0.090 1.764 10.286
O 0.090 7.624 8.993
O 1.107 4.363 8.041
O 1.107 5.025 11.238
O 1.695 3.105 0.258
O 1.695 6.283 6.168
O 1.764 0.090 5.780
O 1.764 9.298 0.646
O 2.235 2.800 6.028
O 2.235 6.588 0.398
O 2.800 2.235 10.038
O 2.800 7.153 9.242
O 3.105 1.695 2.955
O 3.105 7.693 3.471
O 4.363 1.107 8.025
O 4.363 8.280 11.255
O 4.681 4.681 8.033
O 4.681 4.706 11.246
O 4.706 4.681 4.820
O 4.706 4.706 1.607
O 5.025 1.107 4.828
O 5.025 8.280 1.598
O 6.283 1.695 9.898
O 6.283 7.693 9.382
O 6.588 2.235 2.815
O 6.588 7.153 3.611
O 7.153 2.800 6.824
O 7.153 6.588 12.455
O 7.624 0.090 7.073
O 7.624 9.298 12.206
O 7.693 3.105 12.595
O 7.693 6.283 6.684
O 8.280 4.363 4.811
O 8.280 5.025 1.615
O 9.298 1.764 2.567
O 9.298 7.624 3.860
CELL_PARAMETERS angstrom
9.388 0.000 0.000
0.000 9.388 0.000
0.000 0.000 12.853
```

7.
## NbCoB2 (PBE)

Data for crystalline NbCoB2 at its relaxed geometry. Values from VASP.

Computed properties:
Formation energy from the elements   -0.61 eV/atom
SG   Pnma (62)

```
&SYSTEM
  ibrav = 0, nat = 16, ntyp = 3
/
ATOMIC_SPECIES
Nb 92.91 Nb.upf
Co 58.93 Co.upf
B 10.81 B.upf
ATOMIC_POSITIONS angstrom
Nb 0.812 0.790 1.084
Nb 2.174 2.370 5.186
Nb 3.798 0.790 3.018
Nb 5.160 2.370 7.120
Co 0.052 2.370 3.176
Co 2.934 0.790 7.278
Co 3.038 2.370 0.926
Co 5.920 0.790 5.029
B 0.988 0.790 6.803
B 1.388 0.790 3.467
B 1.598 2.370 7.569
B 1.998 2.370 2.701
B 3.974 0.790 5.503
B 4.374 0.790 0.635
B 4.584 2.370 4.737
B 4.984 2.370 1.401
CELL_PARAMETERS angstrom
5.972 0.000 0.000
0.000 3.160 0.000
0.000 0.000 8.204
```

8.
## ErRu3C (PBE)

Data for crystalline ErRu3C at its relaxed geometry. Values from VASP.

Computed properties:
Formation energy from the elements   -0.25 eV/atom
SG   Pm-3m (221)

```
&SYSTEM
  ibrav = 0, nat = 5, ntyp = 3
/
ATOMIC_SPECIES
Er 167.26 Er.upf
Ru 101.07 Ru.upf
C 12.01 C.upf
ATOMIC_POSITIONS angstrom
Er 0.000 0.000 0.000
Ru 0.000 2.075 2.075
Ru 2.075 0.000 2.075
Ru 2.075 2.075 0.000
C 2.075 2.075 2.075
CELL_PARAMETERS angstrom
4.150 0.000 0.000
0.000 4.150 0.000
0.000 0.000 4.150
```

9.
## Ho3Tl5 (PBE)

Data for crystalline Ho3Tl5 at its relaxed geometry. Values from VASP.

Computed properties:
Formation energy from the elements   -0.26 eV/atom
Spin magnetization   0.2 Bohr magnetons per cell
SG   Cmcm (63)

```
&SYSTEM
  ibrav = 0, nat = 16, ntyp = 2
/
ATOMIC_SPECIES
Ho 164.93 Ho.upf
Tl 204.38 Tl.upf
ATOMIC_POSITIONS angstrom
Ho 5.144 3.062 7.945
Ho 3.014 0.000 0.000
Ho 3.014 0.000 5.297
Ho 7.274 0.000 0.000
Ho 7.274 0.000 5.297
Ho 5.144 -3.062 2.648
Tl 2.346 1.688 7.945
Tl 5.144 2.374 0.451
Tl 5.144 2.374 4.846
Tl 2.346 -1.688 2.648
Tl 5.144 -0.002 2.648
Tl 5.144 0.002 7.945
Tl 7.942 1.688 7.945
Tl 5.144 -2.374 5.748
Tl 5.144 -2.374 10.143
Tl 7.942 -1.688 2.648
CELL_PARAMETERS angstrom
5.144 -3.960 0.000
5.144 3.960 0.000
0.000 0.000 10.594
```

10.
## YTa3O9 (PBE)

Data for crystalline YTa3O9 at its relaxed geometry. Values from VASP.

Computed properties:
Formation energy from the elements   -3.46 eV/atom
Spin magnetization   0.0 Bohr magnetons per cell
SG   C2/m (12)

```
&SYSTEM
  ibrav = 0, nat = 26, ntyp = 3
/
ATOMIC_SPECIES
Y 88.91 Y.upf
Ta 180.95 Ta.upf
O 16.00 O.upf
ATOMIC_POSITIONS angstrom
Y 3.060 0.000 0.059
Y 8.175 0.000 7.859
Ta 0.012 0.000 1.964
Ta 0.126 0.000 5.830
Ta 5.723 0.000 2.033
Ta 5.512 0.000 5.885
Ta 11.109 0.000 2.088
Ta 11.224 0.000 5.954
O 0.000 0.000 0.000
O 1.327 1.476 6.073
O 4.225 1.408 1.658
O -0.021 0.000 3.941
O 6.968 1.443 1.858
O 4.268 1.443 6.060
O -0.038 0.000 7.915
O 9.908 1.476 1.845
O 7.010 1.408 6.260
O 5.618 0.000 3.959
O 4.225 -1.408 1.658
O 1.327 -1.476 6.073
O 11.274 0.000 0.003
O 6.968 -1.443 1.858
O 4.268 -1.443 6.060
O 11.257 0.000 3.976
O 7.010 -1.408 6.260
O 9.908 -1.476 1.845
CELL_PARAMETERS angstrom
8.391 -2.793 0.000
8.391 2.793 0.000
-5.546 0.000 7.918
```

11.
## GeSe2O6 (PBE)

Data for crystalline GeSe2O6 at its relaxed geometry. Values from VASP.

Computed properties:
Formation energy from the elements   -1.51 eV/atom
SG   P2_1/c (14)

```
&SYSTEM
  ibrav = 0, nat = 18, ntyp = 3
/
ATOMIC_SPECIES
Ge 72.64 Ge.upf
Se 78.96 Se.upf
O 16.00 O.upf
ATOMIC_POSITIONS angstrom
Ge 0.000 0.000 0.000
Ge -2.510 3.449 3.710
Se -2.397 1.205 5.936
Se 0.113 2.244 2.226
Se 0.011 4.654 5.194
Se 2.520 5.694 1.484
O -0.222 0.582 1.812
O -2.732 2.867 5.522
O -1.468 4.956 4.334
O 1.042 5.392 0.624
O -3.472 1.125 7.325
O -0.962 2.324 3.615
O 1.085 4.574 3.805
O 3.595 5.774 0.095
O -0.919 1.507 6.796
O 1.591 1.943 3.086
O 2.855 4.032 1.898
O 0.346 6.316 5.608
CELL_PARAMETERS angstrom
5.142 0.000 0.000
0.000 6.898 0.000
-5.019 0.000 7.420
```

12.
## Sr3GaN3 (PBE)

Data for crystalline Sr3GaN3 at its relaxed geometry. Values from VASP.

Computed properties:
Formation energy from the elements   -0.79 eV/atom
SG   P6_3/m (176)

```
&SYSTEM
  ibrav = 0, nat = 14, ntyp = 3
/
ATOMIC_SPECIES
Sr 87.62 Sr.upf
Ga 69.72 Ga.upf
N 14.01 N.upf
ATOMIC_POSITIONS angstrom
Sr -0.822 2.363 1.362
Sr -1.356 6.135 1.362
Sr 1.636 1.893 4.085
Sr 2.178 4.712 1.362
Sr 5.170 0.470 4.085
Sr 4.635 4.242 4.085
Ga 0.000 4.404 4.085
Ga 3.814 2.202 1.362
N -0.806 2.652 4.085
N -1.113 5.977 4.085
N 1.894 2.024 1.362
N 1.920 4.581 4.085
N 4.927 0.628 1.362
N 4.620 3.953 1.362
CELL_PARAMETERS angstrom
7.627 0.000 0.000
-3.814 6.605 0.000
0.000 0.000 5.446
```